## FeS2 (PBE)

Data for a relaxed structure of FeS2.

Summary:
- E_form: -0.85 eV per atom
- Calculated total energy: -6.09 eV/atom

a = 4.438 Å, b = 5.411 Å, c = 3.390 Å
α = 90.00°, β = 90.00°, γ = 90.00°
Space group Pnnm (No. 58)
Unique sites:
Fe  0.000  0.000  0.000 [2 per cell]
S  0.206  0.375  0.000 [4 per cell]